(1)
{
  "formula": "Y4Ga21Ni10",
  "functional": "PBE-GGA",
  "state": "relaxed",
  "cell": [[10.436, -2.040, 0.000], [10.436, 2.040, 0.000], [-8.617, 0.000, 12.892]],
  "species": ["Y", "Y", "Y", "Y", "Ga", "Ga", "Ga", "Ga", "Ga", "Ga", "Ga", "Ga", "Ga", "Ga", "Ga", "Ga", "Ga", "Ga", "Ga", "Ga", "Ga", "Ga", "Ga", "Ga", "Ga", "Ni", "Ni", "Ni", "Ni", "Ni", "Ni", "Ni", "Ni", "Ni", "Ni"],
  "fractional_positions": [[0.120, 0.120, 0.334], [0.230, 0.230, 0.825], [0.770, 0.770, 0.175], [0.880, 0.880, 0.666], [0.006, 0.006, 0.090], [0.065, 0.065, 0.796], [0.116, 0.116, 0.552], [0.202, 0.202, 0.003], [0.247, 0.247, 0.294], [0.297, 0.297, 0.497], [0.373, 0.373, 0.804], [0.386, 0.386, 0.297], [0.398, 0.398, 0.003], [0.461, 0.461, 0.632], [0.500, 0.500, 0.500], [0.539, 0.539, 0.368], [0.602, 0.602, 0.997], [0.614, 0.614, 0.703], [0.627, 0.627, 0.196], [0.703, 0.703, 0.503], [0.753, 0.753, 0.706], [0.798, 0.798, 0.997], [0.884, 0.884, 0.448], [0.935, 0.935, 0.204], [0.994, 0.994, 0.910], [0.024, 0.024, 0.607], [0.133, 0.133, 0.105], [0.249, 0.249, 0.614], [0.347, 0.347, 0.113], [0.499, 0.499, 0.816], [0.501, 0.501, 0.184], [0.653, 0.653, 0.887], [0.751, 0.751, 0.386], [0.867, 0.867, 0.895], [0.976, 0.976, 0.393]],
  "space_group": "C2/m, No. 12",
  "formation_energy_ev_per_atom": -0.51,
  "magmom_total_mub_per_fu": 0.00
}

---

(2)
{
  "formula": "Ba6YBr15",
  "functional": "PBE-GGA",
  "state": "relaxed",
  "cell": [[7.867, -8.059, 0.000], [7.867, 8.059, 0.000], [-0.829, 0.000, 32.363]],
  "species": ["Ba", "Ba", "Ba", "Ba", "Ba", "Ba", "Ba", "Ba", "Ba", "Ba", "Ba", "Ba", "Ba", "Ba", "Ba", "Ba", "Ba", "Ba", "Ba", "Ba", "Ba", "Ba", "Ba", "Ba", "Y", "Y", "Y", "Y", "Br", "Br", "Br", "Br", "Br", "Br", "Br", "Br", "Br", "Br", "Br", "Br", "Br", "Br", "Br", "Br", "Br", "Br", "Br", "Br", "Br", "Br", "Br", "Br", "Br", "Br", "Br", "Br", "Br", "Br", "Br", "Br", "Br", "Br", "Br", "Br", "Br", "Br", "Br", "Br", "Br", "Br", "Br", "Br", "Br", "Br", "Br", "Br", "Br", "Br", "Br", "Br", "Br", "Br", "Br", "Br", "Br", "Br", "Br", "Br"],
  "fractional_positions": [[0.016, 0.026, 0.117], [0.026, 0.016, 0.617], [0.052, 0.537, 0.861], [0.084, 0.449, 0.631], [0.199, 0.252, 0.246], [0.221, 0.326, 0.025], [0.252, 0.199, 0.746], [0.326, 0.221, 0.525], [0.398, 0.550, 0.146], [0.449, 0.084, 0.131], [0.450, 0.602, 0.354], [0.463, 0.948, 0.639], [0.537, 0.052, 0.361], [0.550, 0.398, 0.646], [0.551, 0.916, 0.869], [0.602, 0.450, 0.854], [0.674, 0.779, 0.475], [0.748, 0.801, 0.254], [0.779, 0.674, 0.975], [0.801, 0.748, 0.754], [0.916, 0.551, 0.369], [0.948, 0.463, 0.139], [0.974, 0.984, 0.383], [0.984, 0.974, 0.883], [0.240, 0.287, 0.388], [0.287, 0.240, 0.888], [0.713, 0.760, 0.112], [0.760, 0.713, 0.612], [0.009, 0.227, 0.688], [0.019, 0.719, 0.612], [0.030, 0.735, 0.933], [0.051, 0.781, 0.807], [0.052, 0.249, 0.560], [0.081, 0.217, 0.831], [0.105, 0.175, 0.947], [0.166, 0.514, 0.204], [0.168, 0.458, 0.322], [0.169, 0.560, 0.083], [0.175, 0.105, 0.447], [0.217, 0.081, 0.331], [0.219, 0.949, 0.693], [0.227, 0.009, 0.188], [0.243, 0.458, 0.934], [0.249, 0.052, 0.060], [0.254, 0.500, 0.431], [0.265, 0.970, 0.567], [0.281, 0.981, 0.888], [0.300, 0.441, 0.699], [0.313, 0.439, 0.828], [0.339, 0.459, 0.581], [0.439, 0.313, 0.328], [0.440, 0.831, 0.417], [0.441, 0.300, 0.199], [0.458, 0.168, 0.822], [0.458, 0.243, 0.434], [0.459, 0.339, 0.081], [0.486, 0.834, 0.296], [0.500, 0.254, 0.931], [0.500, 0.746, 0.069], [0.514, 0.166, 0.704], [0.541, 0.661, 0.919], [0.542, 0.757, 0.566], [0.542, 0.832, 0.178], [0.559, 0.700, 0.801], [0.560, 0.169, 0.583], [0.561, 0.687, 0.672], [0.661, 0.541, 0.419], [0.687, 0.561, 0.172], [0.700, 0.559, 0.301], [0.719, 0.019, 0.112], [0.735, 0.030, 0.433], [0.746, 0.500, 0.569], [0.751, 0.948, 0.940], [0.757, 0.542, 0.066], [0.773, 0.991, 0.812], [0.781, 0.051, 0.307], [0.783, 0.919, 0.669], [0.825, 0.895, 0.553], [0.831, 0.440, 0.917], [0.832, 0.542, 0.678], [0.834, 0.486, 0.796], [0.895, 0.825, 0.053], [0.919, 0.783, 0.169], [0.948, 0.751, 0.440], [0.949, 0.219, 0.193], [0.970, 0.265, 0.067], [0.981, 0.281, 0.388], [0.991, 0.773, 0.312]],
  "space_group": "C2/c, No. 15",
  "formation_energy_ev_per_atom": -2.47,
  "magmom_total_mub_per_fu": 0.00,
  "de_polymorph_mev_per_atom": 0
}

---

(3)
{
  "formula": "UMnAl",
  "functional": "PBE-GGA",
  "state": "relaxed",
  "cell": [[-2.575, 2.762, 3.494], [2.575, -2.762, 3.494], [2.575, 2.762, -3.494]],
  "species": ["U", "U", "Mn", "Mn", "Al", "Al"],
  "fractional_positions": [[0.412, 0.162, 0.250], [0.588, 0.838, 0.750], [0.000, 0.500, 0.500], [0.500, 0.500, 0.000], [0.000, 0.000, 0.500], [0.000, 0.500, 0.000]],
  "space_group": "Imma, No. 74",
  "formation_energy_ev_per_atom": -0.15,
  "magmom_total_mub_per_fu": 0.12
}

---

(4)
{
  "formula": "NdTlAu2",
  "functional": "PBE-GGA",
  "state": "relaxed",
  "cell": [[0.000, 3.614, 3.614], [3.614, 0.000, 3.614], [3.614, 3.614, 0.000]],
  "species": ["Nd", "Tl", "Au", "Au"],
  "fractional_positions": [[0.000, 0.000, 0.000], [0.500, 0.500, 0.500], [0.250, 0.250, 0.250], [0.750, 0.750, 0.750]],
  "space_group": "Fm-3m, No. 225",
  "formation_energy_ev_per_atom": -0.57
}

---

(5)
{
  "formula": "K2LiH2Se2O6",
  "functional": "PBE-GGA",
  "state": "relaxed",
  "cell": [[5.870, 0.000, 0.000], [-1.372, 5.720, 0.000], [-2.772, -1.742, 6.075]],
  "species": ["K", "K", "Li", "H", "H", "Se", "Se", "O", "O", "O", "O", "O", "O"],
  "fractional_positions": [[0.000, 0.000, 0.000], [0.361, 0.618, 0.348], [0.209, 0.000, 0.649], [0.580, 0.116, 0.131], [0.854, 0.702, 0.430], [0.569, 0.445, 0.911], [0.875, 0.257, 0.520], [0.112, 0.214, 0.447], [0.293, 0.431, 0.948], [0.559, 0.139, 0.896], [0.566, 0.092, 0.272], [0.836, 0.607, 0.157], [0.899, 0.756, 0.588]],
  "space_group": "P1, No. 1",
  "formation_energy_ev_per_atom": -1.48,
  "magmom_total_mub_per_fu": 0.00,
  "de_polymorph_mev_per_atom": 44
}

---

(6)
{
  "formula": "Pa3As4",
  "functional": "PBE-GGA",
  "state": "relaxed",
  "cell": [[-4.287, 4.287, 4.287], [4.287, -4.287, 4.287], [4.287, 4.287, -4.287]],
  "species": ["Pa", "Pa", "Pa", "Pa", "Pa", "Pa", "As", "As", "As", "As", "As", "As", "As", "As"],
  "fractional_positions": [[0.125, 0.750, 0.875], [0.250, 0.625, 0.375], [0.375, 0.250, 0.625], [0.625, 0.375, 0.250], [0.750, 0.875, 0.125], [0.875, 0.125, 0.750], [0.000, 0.342, 0.500], [0.000, 0.842, 0.500], [0.158, 0.158, 0.158], [0.342, 0.500, 0.000], [0.500, 0.000, 0.342], [0.500, 0.000, 0.842], [0.658, 0.658, 0.658], [0.842, 0.500, 0.000]],
  "space_group": "I-43d, No. 220",
  "formation_energy_ev_per_atom": -1.03
}